Entry from the Materials Project database: a relaxed YbEr2Se4 crystal (meta-GGA r2SCAN).

a b c (Å): 6.862 4.013 6.879
angles (deg): 90.00 108.58 90.00
Space group P2/m (No. 10)
Unique sites:
Yb (0.000, 0.000, 0.000) x1
Er (0.500, 0.000, 0.500) x1
Er (0.500, 0.500, 0.000) x1
Se (0.242, 0.500, 0.254) x2
Se (0.251, 0.000, 0.753) x2

Total energy (eV per atom): -25.21
DFT formation energy (eV per atom): -2.125